# 1
Compound: Ca33Mo27O80
Source: Materials Project
Functional: PBE with a Hubbard U
Structure: optimized geometry

Cell lengths 12.524, 12.524, 15.151 Å; angles 65.59, 65.59, 90.00 degrees
Positions (direct):
Ca 0.487 0.783 0.654
Ca 0.614 0.812 0.154
O 0.624 0.447 0.500
Ca 0.111 0.310 0.156
Ca 0.268 0.466 0.846
Ca 0.522 0.216 0.343
Mo 0.422 0.705 0.500
O 0.853 0.499 0.337
Ca 0.783 0.859 0.654
O 0.429 0.156 0.001
O 0.396 0.248 0.165
Mo 0.570 0.298 0.500
O 0.749 0.942 0.160
O 0.626 0.626 0.251
O 0.053 0.624 0.500
O 0.584 0.084 0.833
O 0.127 0.804 0.998
Ca 0.886 0.688 0.846
Mo 0.930 0.202 0.500
Mo 0.583 0.583 0.834
Mo 0.955 0.823 0.999
Ca 0.641 0.937 0.346
Ca 0.733 0.534 0.156
Mo 0.834 0.334 0.331
O 0.001 0.691 0.663
O 0.308 0.661 0.338
O 0.804 0.875 0.998
O 0.302 0.373 0.002
O 0.252 0.061 0.835
O 0.373 0.552 0.500
O 0.874 0.874 0.749
O 0.552 0.127 0.500
Mo 0.202 0.570 0.500
Ca 0.688 0.268 0.846
O 0.626 0.123 0.251
Ca 0.034 0.614 0.154
Ca 0.216 0.135 0.343
Ca 0.717 0.641 0.346
O 0.001 0.308 0.338
O 0.409 0.602 0.840
O 0.587 0.396 0.165
Ca 0.466 0.886 0.846
O 0.192 0.839 0.662
O 0.198 0.127 0.998
Ca 0.563 0.487 0.654
Ca 0.978 0.284 0.657
Mo 0.000 0.500 0.000
O 0.913 0.104 0.835
Ca 0.365 0.058 0.657
O 0.071 0.344 0.999
O 0.447 0.876 0.500
Mo 0.250 0.250 0.500
Mo 0.413 0.413 0.174
O 0.416 0.916 0.167
Ca 0.013 0.717 0.346
Ca 0.750 0.750 0.500
O 0.581 0.679 0.500
O 0.100 0.180 0.500
Ca 0.284 0.365 0.657
O 0.344 0.930 0.999
O 0.171 0.171 0.658
Mo 0.298 0.930 0.500
Mo 0.677 0.453 0.001
O 0.146 0.499 0.662
O 0.180 0.400 0.500
O 0.874 0.377 0.749
O 0.930 0.657 0.999
O 0.373 0.696 0.002
O 0.948 0.373 0.500
O 0.602 0.751 0.840
Ca 0.310 0.733 0.156
O 0.876 0.053 0.500
O 0.329 0.329 0.342
Ca 0.812 0.232 0.154
Mo 0.500 0.000 0.000
O 0.400 0.320 0.500
O 0.809 0.163 0.337
Ca 0.058 0.978 0.657
O 0.127 0.948 0.500
O 0.839 0.146 0.662
Ca 0.190 0.767 0.844
O 0.499 0.192 0.662
O 0.942 0.091 0.160
Mo 0.823 0.047 0.999
O 0.696 0.625 0.002
Mo 0.545 0.677 0.001
Ca 0.859 0.563 0.654
O 0.123 0.626 0.251
O 0.084 0.584 0.833
O 0.751 0.558 0.840
O 0.661 0.354 0.338
O 0.337 0.647 0.663
Ca 0.966 0.389 0.844
Mo 0.087 0.087 0.826
Mo 0.917 0.917 0.166
O 0.061 0.913 0.835
Mo 0.334 0.834 0.331
O 0.875 0.198 0.998
O 0.354 0.001 0.338
O 0.919 0.821 0.500
Mo 0.179 0.955 0.999
O 0.570 0.843 0.001
Mo 0.453 0.321 0.001
Ca 0.442 0.522 0.343
O 0.663 0.663 0.674
Mo 0.705 0.078 0.500
O 0.499 0.809 0.337
O 0.377 0.874 0.749
Ca 0.767 0.966 0.844
O 0.843 0.429 0.001
O 0.439 0.587 0.165
O 0.091 0.898 0.160
O 0.657 0.071 0.999
O 0.837 0.837 0.326
O 0.558 0.409 0.840
Ca 0.135 0.442 0.343
O 0.821 0.581 0.500
Mo 0.047 0.179 0.999
Mo 0.166 0.666 0.669
Ca 0.389 0.190 0.844
Ca 0.534 0.111 0.156
O 0.156 0.570 0.001
O 0.377 0.377 0.749
O 0.916 0.416 0.167
Mo 0.795 0.422 0.500
Ca 0.937 0.013 0.346
O 0.163 0.853 0.337
O 0.679 0.919 0.500
Ca 0.232 0.034 0.154
O 0.248 0.439 0.165
Mo 0.078 0.795 0.500
O 0.320 0.100 0.500
O 0.625 0.302 0.002
O 0.104 0.252 0.835
O 0.691 0.337 0.663
O 0.898 0.749 0.160
O 0.123 0.123 0.251
O 0.647 0.001 0.663
Mo 0.321 0.545 0.001
Mo 0.666 0.166 0.669

Formation energy from the elements (eV/atom): -2.4822
Final energy (eV per atom): -6.86



# 2
Compound: CaMoO2
Source: Materials Project
Functional: PBE with a Hubbard U
Structure: optimized geometry

Cell lengths 7.243, 7.243, 7.243 Å; angles 127.01, 127.01, 78.24 degrees
Positions (direct):
Ca 0.375 0.625 0.750
Mo 0.375 0.125 0.250
Mo 0.875 0.625 0.750
O 0.592 0.324 0.732
O 0.158 0.390 0.232
O 0.140 0.408 0.732
Mo 0.875 0.125 0.750
Ca 0.375 0.625 0.250
O 0.158 0.926 0.768
O 0.676 0.408 0.268
Mo 0.875 0.125 0.250
Ca 0.875 0.625 0.250
Ca 0.375 0.125 0.750
O 0.592 0.860 0.268
O 0.610 0.842 0.768
O 0.074 0.842 0.232

Formation energy from the elements (eV/atom): -2.0915
Final energy (eV per atom): -6.63



# 3
Compound: CaMo2P2O10
Source: Materials Project
Functional: PBE with a Hubbard U
Structure: optimized geometry

Cell lengths 10.126, 8.915, 7.191 Å; angles 77.09, 59.11, 43.80 degrees
Positions (direct):
O 0.322 0.973 0.708
O 0.998 0.708 0.973
O 0.640 0.383 0.065
O 0.065 0.912 0.640
P 0.795 0.795 0.205
O 0.912 0.065 0.383
O 0.708 0.998 0.322
P 0.045 0.045 0.455
O 0.252 0.542 0.277
P 0.205 0.205 0.795
O 0.973 0.322 0.998
Mo 0.625 0.625 0.625
O 0.185 0.338 0.610
O 0.928 0.277 0.542
O 0.867 0.610 0.338
Ca 0.000 0.000 0.000
Mo 0.625 0.625 0.125
O 0.383 0.640 0.912
O 0.610 0.867 0.185
O 0.277 0.928 0.252
P 0.455 0.455 0.045
O 0.542 0.252 0.928
O 0.666 0.666 0.834
O 0.338 0.185 0.867
O 0.834 0.834 0.666
Mo 0.125 0.625 0.625
Mo 0.625 0.125 0.625
O 0.584 0.584 0.416
O 0.416 0.416 0.584
Ca 0.250 0.250 0.250

Formation energy from the elements (eV/atom): -2.5991
Final energy (eV per atom): -7.31



Question: Number 2 is which compound?
Answer: CaMoO2